Compound: ZnNiBiP2O9
Source: the Materials Project database
Functional: PBE+U
Structure: optimized geometry

a b c (Å): 6.696 8.027 13.844
angles (deg): 90.00 90.00 90.00
Fractional positions:
P (0.750, 0.835, 0.597)
O (0.250, 0.475, 0.978)
O (0.750, 0.525, 0.022)
O (0.750, 0.297, 0.238)
O (0.574, 0.860, 0.671)
Zn (0.750, 0.534, 0.291)
O (0.750, 0.838, 0.051)
Ni (0.000, 0.000, 0.000)
P (0.250, 0.165, 0.403)
O (0.750, 0.203, 0.738)
O (0.445, 0.639, 0.387)
O (0.574, 0.640, 0.171)
Ni (0.500, 0.000, 0.000)
Bi (0.750, 0.359, 0.884)
O (0.250, 0.338, 0.449)
P (0.750, 0.665, 0.097)
O (0.945, 0.361, 0.613)
O (0.426, 0.360, 0.829)
O (0.250, 0.797, 0.262)
O (0.750, 0.509, 0.746)
Zn (0.250, 0.034, 0.209)
Bi (0.250, 0.859, 0.616)
O (0.250, 0.025, 0.478)
O (0.750, 0.421, 0.422)
P (0.250, 0.335, 0.903)
O (0.926, 0.860, 0.671)
O (0.055, 0.639, 0.387)
O (0.250, 0.162, 0.949)
O (0.750, 0.662, 0.551)
O (0.750, 0.991, 0.246)
Ni (0.500, 0.500, 0.500)
O (0.250, 0.921, 0.078)
P (0.250, 0.638, 0.327)
Zn (0.750, 0.966, 0.791)
O (0.074, 0.140, 0.329)
O (0.945, 0.139, 0.113)
O (0.926, 0.640, 0.171)
O (0.250, 0.703, 0.762)
O (0.750, 0.975, 0.522)
O (0.426, 0.140, 0.329)
O (0.250, 0.009, 0.754)
O (0.445, 0.861, 0.887)
P (0.750, 0.362, 0.673)
Bi (0.250, 0.641, 0.116)
O (0.250, 0.579, 0.578)
O (0.555, 0.361, 0.613)
Zn (0.250, 0.466, 0.709)
O (0.750, 0.079, 0.922)
O (0.250, 0.491, 0.254)
Ni (0.000, 0.500, 0.500)
O (0.555, 0.139, 0.113)
P (0.750, 0.138, 0.173)
Bi (0.750, 0.141, 0.384)
O (0.074, 0.360, 0.829)
P (0.250, 0.862, 0.827)
O (0.055, 0.861, 0.887)

- total energy after the MP2020 corrections (eV/atom) = -6.7788
- uncorrected energy (eV per atom) = -6.156
- ΔH_f (0 K) (eV/atom) = -2.044
- magnetization (μB/f.u.) = 1.00